[1]
Here is crystalline Mg3B2SO14 at its relaxed geometry from the Materials Project database. Energies are from PBE-GGA.

a = 7.5486 Å, b = 10.5787 Å, c = 13.2182 Å
α = 90.00°, β = 90.00°, γ = 90.00°
Closest atoms and distances in Å follow each position.
Element x y z (fractional)
O 0.5229 0.1839 0.0924  1 B 1.45
O 0.3388 0.3094 0.4870  1 B 1.45
O 0.9771 0.6839 0.0924  1 B 1.45
O 0.0048 0.0057 0.1571  1 S 1.49
O 0.0214 0.3415 0.0865  1 B 1.42
O 0.4952 0.5057 0.3429  1 S 1.49
O 0.4771 0.8161 0.9076  1 B 1.45
O 0.3178 0.3122 0.2500  3 Mg 2.13-2.20
O 0.6822 0.6878 0.7500  3 Mg 2.13-2.20
O 0.6417 0.9683 0.7500  3 Mg 2.07-2.12
O 0.7036 0.9164 0.9806  1 B 1.43
O 0.3583 0.0317 0.2500  3 Mg 2.07-2.12
O 0.0214 0.3415 0.4135  1 B 1.42
O 0.0229 0.3161 0.9076  1 B 1.45
O 0.5214 0.1585 0.5865  1 B 1.42
O 0.2462 0.4287 0.7500  1 S 1.46
O 0.6612 0.6906 0.9870  1 B 1.45
O 0.8388 0.1906 0.5130  1 B 1.45
O 0.5048 0.4943 0.6571  1 S 1.49
O 0.7964 0.4164 0.5194  1 B 1.43
O 0.1822 0.8122 0.2500  3 Mg 2.13-2.20
O 0.8301 0.8511 0.2500  1 S 1.50
O 0.9786 0.6585 0.5865  1 B 1.42
O 0.4786 0.8415 0.4135  1 B 1.42
O 0.7964 0.4164 0.9806  1 B 1.43
O 0.4952 0.5057 0.1571  1 S 1.49
O 0.2036 0.5836 0.4806  1 B 1.43
O 0.1612 0.8094 0.0130  1 B 1.45
O 0.2964 0.0836 0.0194  1 B 1.43
O 0.1612 0.8094 0.4870  1 B 1.45
O 0.6699 0.3511 0.2500  1 S 1.50
O 0.2036 0.5836 0.0194  1 B 1.43
O 0.5229 0.1839 0.4076  1 B 1.45
O 0.7036 0.9164 0.5194  1 B 1.43
O 0.8583 0.4683 0.7500  3 Mg 2.07-2.12
O 0.9771 0.6839 0.4076  1 B 1.45
O 0.7538 0.5713 0.2500  1 S 1.46
O 0.0229 0.3161 0.5924  1 B 1.45
O 0.4786 0.8415 0.0865  1 B 1.42
O 0.3301 0.6489 0.7500  1 S 1.50
O 0.9952 0.9943 0.6571  1 S 1.49
O 0.1417 0.5317 0.2500  3 Mg 2.07-2.12
O 0.3388 0.3094 0.0130  1 B 1.45
O 0.1699 0.1489 0.7500  1 S 1.50
O 0.2964 0.0836 0.4806  1 B 1.43
O 0.8388 0.1906 0.9870  1 B 1.45
O 0.0048 0.0057 0.3429  1 S 1.49
O 0.4771 0.8161 0.5924  1 B 1.45
O 0.9952 0.9943 0.8429  1 S 1.49
O 0.7462 0.0713 0.2500  1 S 1.46
O 0.9786 0.6585 0.9135  1 B 1.42
O 0.8178 0.1878 0.7500  3 Mg 2.13-2.20
O 0.2538 0.9287 0.7500  1 S 1.46
O 0.5048 0.4943 0.8429  1 S 1.49
O 0.6612 0.6906 0.5130  1 B 1.45
O 0.5214 0.1585 0.9135  1 B 1.42
Mg 0.9665 0.6823 0.2500  6 O 1.99-2.13
Mg 0.2516 0.9367 0.3770  6 O 2.04-2.20
Mg 0.0335 0.3177 0.7500  6 O 1.99-2.13
Mg 0.5335 0.1823 0.2500  6 O 1.99-2.13
Mg 0.7516 0.5633 0.8770  6 O 2.04-2.20
Mg 0.7516 0.5633 0.6230  6 O 2.04-2.20
Mg 0.7484 0.0633 0.8770  6 O 2.04-2.20
Mg 0.2484 0.4367 0.1230  6 O 2.04-2.20
Mg 0.2516 0.9367 0.1230  6 O 2.04-2.20
Mg 0.2484 0.4367 0.3770  6 O 2.04-2.20
Mg 0.4665 0.8177 0.7500  6 O 1.99-2.13
Mg 0.7484 0.0633 0.6230  6 O 2.04-2.20
B 0.9170 0.3145 0.9994  4 O 1.42-1.45
B 0.9170 0.3145 0.5006  4 O 1.42-1.45
B 0.5830 0.8145 0.9994  4 O 1.42-1.45
B 0.0830 0.6855 0.4994  4 O 1.42-1.45
B 0.4170 0.1855 0.0006  4 O 1.42-1.45
B 0.4170 0.1855 0.4994  4 O 1.42-1.45
B 0.5830 0.8145 0.5006  4 O 1.42-1.45
B 0.0830 0.6855 0.0006  4 O 1.42-1.45
S 0.6035 0.4846 0.2500  4 O 1.46-1.50
S 0.8965 0.9846 0.2500  4 O 1.46-1.50
S 0.3965 0.5154 0.7500  4 O 1.46-1.50
S 0.1035 0.0154 0.7500  4 O 1.46-1.50

Formation energy   -1.664 eV per atom
Calculated total energy   -460.885 eV for the cell shown
Total energy after the MP2020 corrections   -6.24 eV per atom


[2]
Here is crystalline K2AlInBr6 at its relaxed geometry from the Materials Project database. Energies are from PBE-GGA.

a = 7.9657 Å, b = 7.9657 Å, c = 7.9657 Å
α = 60.00°, β = 60.00°, γ = 60.00°
Closest atoms and distances in Å follow each position.
Element x y z (fractional)
K 0.2500 0.2500 0.2500  12 Br 3.99
K 0.7500 0.7500 0.7500  12 Br 3.99
Br 0.7751 0.7751 0.2249  1 Al 2.53
Br 0.2249 0.7751 0.7751  1 Al 2.53
Br 0.2249 0.7751 0.2249  1 Al 2.53
Br 0.2249 0.2249 0.7751  1 Al 2.53
Br 0.7751 0.2249 0.7751  1 Al 2.53
Br 0.7751 0.2249 0.2249  1 Al 2.53
Al 0.0000 0.0000 0.0000  6 Br 2.53
In 0.5000 0.5000 0.5000  6 Br 3.10

Formation energy   -1.551 eV per atom
Calculated total energy   -30.849 eV for the cell shown
Total energy after the MP2020 corrections   -3.41 eV per atom


[3]
Here is crystalline YMg2Cr3S8 at its relaxed geometry from the Materials Project database. Energies are from PBE-GGA.

a = 7.4194 Å, b = 7.4190 Å, c = 7.4191 Å
α = 59.43°, β = 59.43°, γ = 59.44°
Closest atoms and distances in Å follow each position.
Element x y z (fractional)
S 0.2447 0.7206 0.2448  2 Cr 2.44, 1 Mg 2.44, 1 Y 2.68
S 0.7207 0.2448 0.2447  2 Cr 2.44, 1 Mg 2.44, 1 Y 2.68
S 0.2448 0.2447 0.7207  2 Cr 2.44, 1 Mg 2.44, 1 Y 2.68
S 0.7360 0.7361 0.7360  3 Cr 2.47, 1 Mg 2.54
S 0.7552 0.2793 0.7554  2 Cr 2.44, 1 Mg 2.44, 1 Y 2.68
S 0.7554 0.7552 0.2793  2 Cr 2.44, 1 Mg 2.44, 1 Y 2.68
S 0.2640 0.2640 0.2639  3 Cr 2.47, 1 Mg 2.54
S 0.2793 0.7553 0.7553  2 Cr 2.44, 1 Mg 2.44, 1 Y 2.68
Mg 0.1248 0.1247 0.1248  4 S 2.44-2.54
Mg 0.8753 0.8752 0.8753  4 S 2.44-2.54
Cr 0.4999 0.5002 0.9999  6 S 2.44-2.47
Cr 0.0000 0.4998 0.5002  6 S 2.44-2.47
Cr 0.5000 0.0000 0.4998  6 S 2.44-2.47
Y 0.5000 0.5000 0.5000  6 S 2.68

Formation energy   -1.399 eV per atom
Calculated total energy   -87.278 eV for the cell shown
Total energy after the MP2020 corrections   -6.52 eV per atom


[4]
Here is crystalline Tc2P3 at its relaxed geometry from the Materials Project database. Energies are from PBE-GGA.

a = 6.3972 Å, b = 6.3972 Å, c = 9.0449 Å
α = 57.29°, β = 57.29°, γ = 28.18°
Closest atoms and distances in Å follow each position.
Element x y z (fractional)
Tc 0.6345 0.6345 0.1446  5 P 2.30-2.42
Tc 0.2501 0.2501 0.6367  6 P 2.40-2.43
Tc 0.7499 0.7499 0.3633  6 P 2.40-2.43
Tc 0.3655 0.3655 0.8554  5 P 2.30-2.42
P 0.9023 0.9023 0.6286  1 P 2.24, 4 Tc 2.41-2.42
P 0.1104 0.1104 0.9599  1 P 2.41, 3 Tc 2.42-2.43
P 0.0977 0.0977 0.3714  1 P 2.24, 4 Tc 2.41-2.42
P 0.5887 0.5887 0.6779  4 Tc 2.30-2.40
P 0.4113 0.4113 0.3221  4 Tc 2.30-2.40
P 0.8896 0.8896 0.0401  1 P 2.41, 3 Tc 2.42-2.43

E above lowest polymorph   0.006 eV per atom
Formation energy   -0.534 eV per atom
Calculated total energy   -79.262 eV for the cell shown


[5]
Here is crystalline Rb2TlHgBr6 at its relaxed geometry from the Materials Project database. Energies are from PBE-GGA.

a = 8.1120 Å, b = 8.1120 Å, c = 8.1120 Å
α = 60.00°, β = 60.00°, γ = 60.00°
Closest atoms and distances in Å follow each position.
Element x y z (fractional)
Br 0.2541 0.7459 0.2541  1 Hg 2.82, 1 Tl 2.92
Br 0.2541 0.7459 0.7459  1 Hg 2.82, 1 Tl 2.92
Br 0.2541 0.2541 0.7459  1 Hg 2.82, 1 Tl 2.92
Br 0.7459 0.2541 0.2541  1 Hg 2.82, 1 Tl 2.92
Br 0.7459 0.7459 0.2541  1 Hg 2.82, 1 Tl 2.92
Br 0.7459 0.2541 0.7459  1 Hg 2.82, 1 Tl 2.92
Rb 0.7500 0.7500 0.7500  12 Br 4.06
Rb 0.2500 0.2500 0.2500  12 Br 4.06
Tl 0.0000 0.0000 0.0000  6 Br 2.92
Hg 0.5000 0.5000 0.5000  6 Br 2.82

Formation energy   -1.336 eV per atom
Calculated total energy   -24.610 eV for the cell shown
Total energy after the MP2020 corrections   -2.78 eV per atom


[6]
Here is crystalline K3NaNp4H4S4O26 at its relaxed geometry from the Materials Project database. Energies are from PBE-GGA.

a = 5.7957 Å, b = 9.6027 Å, c = 23.1748 Å
α = 80.34°, β = 82.82°, γ = 72.44°
Closest atoms and distances in Å follow each position.
Element x y z (fractional)
O 0.8312 0.5873 0.5463  1 S 1.50
O 0.9649 0.9127 0.9537  1 S 1.50
O 0.3636 0.3675 0.3392  1 Np 1.86
O 0.0161 0.4606 0.1745  1 S 1.48
O 0.6761 0.5285 0.2476  1 S 1.50
O 0.0591 0.5796 0.2560  1 S 1.49
O 0.1052 0.0796 0.7560  1 S 1.49
O 0.6854 0.7841 0.3214  1 S 1.49
O 0.7505 0.1831 0.8572  1 Np 1.83
O 0.0351 0.0873 0.0463  1 S 1.50
O 0.1982 0.8547 0.5875  2 H 0.99
O 0.0429 0.6448 0.9748  1 S 1.47
O 0.2091 0.2841 0.8214  1 S 1.49
O 0.3146 0.2159 0.6786  1 S 1.49
O 0.3489 0.9606 0.6745  1 S 1.48
O 0.9936 0.7723 0.7210  1 Np 1.87
O 0.7909 0.7159 0.1786  1 S 1.49
O 0.6625 0.8552 0.5252  1 S 1.47
O 0.6138 0.0533 0.1300  1 Np 1.88
O 0.9296 0.8675 0.8392  1 Np 1.86
O 0.2339 0.2981 0.5532  1 S 1.51
O 0.6404 0.6453 0.9125  2 H 0.99
O 0.0064 0.2277 0.2790  1 Np 1.87
O 0.0704 0.1325 0.1608  1 Np 1.86
O 0.6511 0.0394 0.3255  1 S 1.48
O 0.1688 0.4127 0.4537  1 S 1.50
O 0.7908 0.3169 0.6428  1 Np 1.83
O 0.9839 0.5394 0.8255  1 S 1.48
O 0.3596 0.3547 0.0875  2 H 0.99
O 0.3375 0.1448 0.4748  1 S 1.47
O 0.7661 0.7019 0.4468  1 S 1.51
O 0.6759 0.2397 0.9968  1 S 1.49
O 0.2495 0.8169 0.1428  1 Np 1.83
O 0.0853 0.2019 0.9468  1 S 1.51
O 0.0876 0.7397 0.4968  1 S 1.49
O 0.4521 0.9715 0.2524  1 S 1.50
O 0.9409 0.4204 0.7440  1 S 1.49
O 0.7971 0.4467 0.3700  1 Np 1.88
O 0.3239 0.4715 0.7524  1 S 1.50
O 0.9147 0.7981 0.0532  1 S 1.51
O 0.3862 0.9467 0.8700  1 Np 1.88
O 0.2029 0.5533 0.6300  1 Np 1.88
O 0.6364 0.6325 0.6608  1 Np 1.86
O 0.9571 0.3552 0.0252  1 S 1.47
O 0.8948 0.9204 0.2440  1 S 1.49
O 0.8018 0.1453 0.4125  2 H 0.99
O 0.2092 0.6831 0.3572  1 Np 1.83
O 0.4870 0.7277 0.7790  1 Np 1.87
O 0.9124 0.2603 0.5032  1 S 1.49
O 0.5130 0.2723 0.2210  1 Np 1.87
O 0.5479 0.0285 0.7476  1 S 1.50
O 0.3241 0.7603 0.0032  1 S 1.49
Np 0.0626 0.0647 0.8648  2 O 1.83-1.88
Np 0.2890 0.2050 0.1901  2 O 1.86-1.87
Np 0.9374 0.9353 0.1352  2 O 1.83-1.88
Np 0.6841 0.2950 0.3099  2 O 1.86-1.87
Np 0.7110 0.7950 0.8099  2 O 1.86-1.87
Np 0.9921 0.4353 0.6352  2 O 1.83-1.88
Np 0.0079 0.5647 0.3648  2 O 1.83-1.88
Np 0.3159 0.7050 0.6901  2 O 1.86-1.87
S 0.6756 0.9293 0.2857  4 O 1.48-1.50
S 0.8905 0.5707 0.2143  4 O 1.48-1.50
S 0.1618 0.2763 0.4958  4 O 1.47-1.51
S 0.0661 0.7763 0.9958  4 O 1.47-1.51
S 0.9339 0.2237 0.0042  4 O 1.47-1.51
S 0.1095 0.4293 0.7857  4 O 1.48-1.50
S 0.8382 0.7237 0.5042  4 O 1.47-1.51
S 0.3244 0.0707 0.7143  4 O 1.48-1.50
H 0.8544 0.2005 0.4385  1 O 0.99
H 0.3433 0.8757 0.5651  1 O 0.99
H 0.6567 0.1243 0.4349  1 O 0.99
H 0.5067 0.7005 0.9385  1 O 0.99
H 0.1456 0.7995 0.5615  1 O 0.99
H 0.2159 0.3757 0.0651  1 O 0.99
H 0.4933 0.2995 0.0615  1 O 0.99
H 0.7841 0.6243 0.9349  1 O 0.99
K 0.5000 0.0000 0.0000  6 O 2.71-2.86
K 0.3774 0.4224 0.9103  7 O 2.82-3.04
K 0.2899 0.9224 0.4103  7 O 2.82-3.04
K 0.7101 0.0776 0.5897  7 O 2.82-3.04
K 0.6226 0.5776 0.0897  7 O 2.82-3.04
K 0.5000 0.5000 0.5000  6 O 2.71-2.86
Na 0.6652 0.2500 0.7500  6 O 2.43-2.59
Na 0.3348 0.7500 0.2500  6 O 2.43-2.59

Formation energy   -2.458 eV per atom
Calculated total energy   -601.192 eV for the cell shown
Total energy after the MP2020 corrections   -7.58 eV per atom